The following is a DFT calculation (PBE with a Hubbard U) of crystalline VAg4O4 at its relaxed geometry.

Cell lengths 7.834, 7.834, 4.611 Å; angles 90.00, 90.00, 90.00 degrees
Space group I-4 (No. 82)
Asymmetric unit:
V 0.000 0.000 0.000 [2 per cell]
Ag 0.075 0.335 0.481 [8 per cell]
O 0.094 0.839 0.787 [8 per cell]

Output
**Magnetic moment**: 0.00 μB per formula unit
**Total energy**: -90.63 eV/cell
**Energy of formation from the pure elements**: -102 kJ per mole of atoms

---

The following is a DFT calculation (PBE with a Hubbard U) of crystalline VAgO3 at its relaxed geometry.

Cell lengths 10.975, 10.588, 5.634 Å; angles 90.00, 107.47, 90.00 degrees
Space group C2/c (No. 15)
Asymmetric unit:
V 0.196 0.083 0.270 [8 per cell]
Ag 0.000 0.241 0.750 [4 per cell]
Ag 0.000 0.406 0.250 [4 per cell]
O 0.129 0.220 0.143 [8 per cell]
O 0.142 0.408 0.646 [8 per cell]
O 0.148 0.044 0.543 [8 per cell]

Output
**Total energy**: -253.81 eV/cell
**Energy of formation from the pure elements**: -168 kJ per mole of atoms

---

The following is a DFT calculation (PBE with a Hubbard U) of crystalline V4Ag3O12 at its relaxed geometry.

Cell lengths 7.218, 8.919, 9.062 Å; angles 73.12, 78.48, 66.38 degrees
Space group P1 (No. 1)
Asymmetric unit:
V 0.000 0.000 0.000 [1 per cell]
V 0.006 0.794 0.377 [1 per cell]
V 0.100 0.345 0.906 [1 per cell]
V 0.116 0.132 0.272 [1 per cell]
V 0.498 0.998 0.002 [1 per cell]
V 0.508 0.794 0.380 [1 per cell]
V 0.606 0.338 0.902 [1 per cell]
V 0.617 0.128 0.275 [1 per cell]
Ag 0.301 0.065 0.641 [1 per cell]
Ag 0.385 0.445 0.560 [1 per cell]
Ag 0.403 0.606 0.141 [1 per cell]
Ag 0.718 0.696 0.731 [1 per cell]
Ag 0.813 0.063 0.640 [1 per cell]
Ag 0.899 0.435 0.540 [1 per cell]
O 0.051 0.323 0.149 [1 per cell]
O 0.052 0.170 0.453 [1 per cell]
O 0.059 0.973 0.818 [1 per cell]
O 0.077 0.802 0.120 [1 per cell]
O 0.121 0.578 0.405 [1 per cell]
O 0.171 0.316 0.707 [1 per cell]
O 0.213 0.064 0.024 [1 per cell]
O 0.235 0.857 0.344 [1 per cell]
O 0.374 0.285 0.938 [1 per cell]
O 0.405 0.062 0.255 [1 per cell]
O 0.464 0.819 0.569 [1 per cell]
O 0.529 0.548 0.883 [1 per cell]
O 0.549 0.326 0.157 [1 per cell]
O 0.555 0.159 0.457 [1 per cell]
O 0.558 0.801 0.117 [1 per cell]
O 0.558 0.971 0.818 [1 per cell]
O 0.592 0.579 0.407 [1 per cell]
O 0.660 0.322 0.704 [1 per cell]
O 0.710 0.066 0.022 [1 per cell]
O 0.742 0.849 0.327 [1 per cell]
O 0.881 0.272 0.936 [1 per cell]
O 0.904 0.063 0.256 [1 per cell]
O 0.931 0.818 0.566 [1 per cell]
O 0.985 0.552 0.873 [1 per cell]

Output
**Magnetic moment**: 0.09 μB per formula unit
**Total energy**: -246.50 eV/cell
**Energy of formation from the pure elements**: -173 kJ per mole of atoms

---

The following is a DFT calculation (PBE with a Hubbard U) of crystalline VAg3O4 at its relaxed geometry.

Cell lengths 10.509, 5.103, 10.297 Å; angles 90.00, 116.34, 90.00 degrees
Space group C2/c (No. 15)
Asymmetric unit:
V 0.000 0.052 0.250 [4 per cell]
Ag 0.000 0.500 0.000 [4 per cell]
Ag 0.242 0.043 0.597 [8 per cell]
O 0.097 0.152 0.897 [8 per cell]
O 0.116 0.249 0.207 [8 per cell]

Output
**Total energy**: -171.57 eV/cell
**Energy of formation from the pure elements**: -120 kJ per mole of atoms
**Energy relative to the lowest polymorph listed for this composition**: 0.000 eV per atom

---

The following is a DFT calculation (PBE with a Hubbard U) of crystalline VAgO3 at its relaxed geometry.

Cell lengths 11.077, 10.539, 5.897 Å; angles 90.00, 112.77, 90.00 degrees
Space group C2/c (No. 15)
Asymmetric unit:
V 0.189 0.082 0.233 [8 per cell]
Ag 0.000 0.265 0.750 [4 per cell]
Ag 0.000 0.405 0.250 [4 per cell]
O 0.129 0.230 0.141 [8 per cell]
O 0.138 0.026 0.473 [8 per cell]
O 0.144 0.415 0.649 [8 per cell]

Output
**Total energy**: -254.19 eV/cell
**Energy of formation from the pure elements**: -169 kJ per mole of atoms

---

The following is a DFT calculation (PBE with a Hubbard U) of crystalline V16Ag7O40 at its relaxed geometry.

Cell lengths 3.672, 12.025, 18.465 Å; angles 98.42, 91.54, 90.74 degrees
Space group P1 (No. 1)
Asymmetric unit:
V 0.000 0.000 0.000 [1 per cell]
V 0.001 0.211 0.662 [1 per cell]
V 0.038 0.206 0.157 [1 per cell]
V 0.478 0.809 0.503 [1 per cell]
V 0.482 0.503 0.003 [1 per cell]
V 0.489 0.795 0.006 [1 per cell]
V 0.491 0.513 0.499 [1 per cell]
V 0.497 0.003 0.666 [1 per cell]
V 0.507 0.710 0.166 [1 per cell]
V 0.515 0.709 0.665 [1 per cell]
V 0.524 0.003 0.162 [1 per cell]
V 0.971 0.303 0.505 [1 per cell]
V 0.973 0.296 0.001 [1 per cell]
V 0.986 0.009 0.499 [1 per cell]
V 0.995 0.500 0.161 [1 per cell]
V 0.999 0.504 0.672 [1 per cell]
Ag 0.028 0.871 0.804 [1 per cell]
Ag 0.030 0.853 0.317 [1 per cell]
Ag 0.432 0.137 0.861 [1 per cell]
Ag 0.485 0.399 0.296 [1 per cell]
Ag 0.505 0.370 0.807 [1 per cell]
Ag 0.528 0.168 0.337 [1 per cell]
Ag 0.967 0.633 0.875 [1 per cell]
O 0.002 0.002 0.908 [1 per cell]
O 0.004 0.668 0.160 [1 per cell]
O 0.010 0.667 0.656 [1 per cell]
O 0.013 0.337 0.125 [1 per cell]
O 0.020 0.252 0.753 [1 per cell]
O 0.022 0.030 0.135 [1 per cell]
O 0.068 0.241 0.249 [1 per cell]
O 0.466 0.791 0.413 [1 per cell]
O 0.473 0.752 0.915 [1 per cell]
O 0.474 0.349 0.514 [1 per cell]
O 0.476 0.337 0.008 [1 per cell]
O 0.478 0.507 0.911 [1 per cell]
O 0.487 0.664 0.529 [1 per cell]
O 0.488 0.981 0.527 [1 per cell]
O 0.489 0.664 0.039 [1 per cell]
O 0.491 0.503 0.410 [1 per cell]
O 0.494 0.531 0.139 [1 per cell]
O 0.498 0.998 0.758 [1 per cell]
O 0.499 0.533 0.646 [1 per cell]
O 0.500 0.169 0.655 [1 per cell]
O 0.502 0.972 0.025 [1 per cell]
O 0.505 0.839 0.631 [1 per cell]
O 0.510 0.840 0.131 [1 per cell]
O 0.521 0.755 0.257 [1 per cell]
O 0.526 0.009 0.254 [1 per cell]
O 0.533 0.166 0.147 [1 per cell]
O 0.534 0.751 0.756 [1 per cell]
O 0.944 0.269 0.414 [1 per cell]
O 0.949 0.260 0.908 [1 per cell]
O 0.978 0.008 0.409 [1 per cell]
O 0.981 0.487 0.251 [1 per cell]
O 0.983 0.474 0.027 [1 per cell]
O 0.983 0.845 0.516 [1 per cell]
O 0.987 0.170 0.535 [1 per cell]
O 0.987 0.485 0.520 [1 per cell]
O 0.988 0.344 0.631 [1 per cell]
O 0.992 0.836 0.012 [1 per cell]
O 0.994 0.163 0.030 [1 per cell]
O 0.995 0.034 0.643 [1 per cell]
O 0.997 0.500 0.763 [1 per cell]

Output
**Magnetic moment**: 7.00 μB per formula unit
**Total energy**: -436.23 eV/cell
**Energy of formation from the pure elements**: -196 kJ per mole of atoms

---

The following is a DFT calculation (PBE with a Hubbard U) of crystalline VAg3O4 at its relaxed geometry.

Cell lengths 5.069, 5.069, 9.955 Å; angles 90.00, 90.00, 90.00 degrees
Space group I-42m (No. 121)
Asymmetric unit:
V 0.000 0.000 0.000 [2 per cell]
Ag 0.000 0.000 0.500 [2 per cell]
Ag 0.000 0.500 0.250 [4 per cell]
O 0.201 0.201 0.898 [8 per cell]

Output
**Magnetic moment**: 0.00 μB per formula unit
**Total energy**: -85.29 eV/cell
**Energy of formation from the pure elements**: -117 kJ per mole of atoms
**Energy relative to the lowest polymorph listed for this composition**: 0.031 eV per atom
**Maximum piezoelectric response**: 1.20 C/m2

---

The following is a DFT calculation (PBE with a Hubbard U) of crystalline VAgO3 at its relaxed geometry.

Cell lengths 18.577, 3.620, 8.147 Å; angles 90.00, 105.17, 90.00 degrees
Space group Cm (No. 8)
Asymmetric unit:
V 0.000 0.000 0.000 [2 per cell]
V 0.047 0.500 0.332 [2 per cell]
V 0.303 0.500 0.795 [2 per cell]
V 0.354 0.000 0.127 [2 per cell]
Ag 0.126 0.000 0.697 [2 per cell]
Ag 0.177 0.500 0.067 [2 per cell]
Ag 0.226 0.000 0.428 [2 per cell]
Ag 0.426 0.000 0.605 [2 per cell]
O 0.026 0.000 0.269 [2 per cell]
O 0.055 0.500 0.547 [2 per cell]
O 0.086 0.000 0.967 [2 per cell]
O 0.140 0.500 0.326 [2 per cell]
O 0.211 0.500 0.803 [2 per cell]
O 0.269 0.000 0.163 [2 per cell]
O 0.296 0.500 0.581 [2 per cell]
O 0.326 0.000 0.854 [2 per cell]
O 0.364 0.500 0.058 [2 per cell]
O 0.416 0.000 0.321 [2 per cell]
O 0.440 0.500 0.799 [2 per cell]
O 0.489 0.000 0.063 [2 per cell]

Output
**Total energy**: -253.71 eV/cell
**Energy of formation from the pure elements**: -168 kJ per mole of atoms

---

The following is a DFT calculation (PBE with a Hubbard U) of crystalline Ag2W2O7 at its relaxed geometry.

Cell lengths 6.211, 7.237, 7.809 Å; angles 73.10, 87.44, 76.94 degrees
Space group P-1 (No. 2)
Asymmetric unit:
Ag 0.201 0.230 0.237 [2 per cell]
Ag 0.264 0.794 0.560 [2 per cell]
W 0.225 0.227 0.724 [2 per cell]
W 0.226 0.798 0.059 [2 per cell]
O 0.083 0.798 0.298 [2 per cell]
O 0.106 0.142 0.997 [2 per cell]
O 0.164 0.488 0.693 [2 per cell]
O 0.280 0.543 0.083 [2 per cell]
O 0.290 0.899 0.815 [2 per cell]
O 0.324 0.203 0.507 [2 per cell]
O 0.486 0.824 0.159 [2 per cell]

Output
**Magnetic moment**: 0.00 μB per formula unit
**Total energy**: -141.33 eV/cell
**Energy of formation from the pure elements**: -159 kJ per mole of atoms

---

The following is a DFT calculation (PBE with a Hubbard U) of crystalline Ag2WO4 at its relaxed geometry.

Cell lengths 6.083, 11.393, 11.842 Å; angles 90.00, 90.00, 90.00 degrees
Space group Pnn2 (No. 34)
Asymmetric unit:
Ag 0.000 0.000 0.000 [2 per cell]
Ag 0.000 0.000 0.342 [2 per cell]
Ag 0.000 0.000 0.697 [2 per cell]
Ag 0.000 0.500 0.350 [2 per cell]
Ag 0.004 0.240 0.166 [4 per cell]
Ag 0.012 0.232 0.521 [4 per cell]
W 0.000 0.500 0.692 [2 per cell]
W 0.000 0.500 0.990 [2 per cell]
W 0.039 0.259 0.842 [4 per cell]
O 0.151 0.576 0.840 [4 per cell]
O 0.189 0.362 0.718 [4 per cell]
O 0.195 0.581 0.079 [4 per cell]
O 0.197 0.577 0.602 [4 per cell]
O 0.198 0.366 0.963 [4 per cell]
O 0.221 0.837 0.762 [4 per cell]
O 0.238 0.128 0.848 [4 per cell]
O 0.238 0.819 0.896 [4 per cell]

Output
**Magnetic moment**: 0.62 μB per formula unit
**Total energy**: -307.58 eV/cell
**Energy of formation from the pure elements**: -87 kJ per mole of atoms
**Energy relative to the lowest polymorph listed for this composition**: 0.447 eV per atom

---

The following is a DFT calculation (PBE with a Hubbard U) of crystalline Ag2WO4 at its relaxed geometry.

Cell lengths 5.950, 11.164, 12.305 Å; angles 90.00, 90.00, 90.00 degrees
Space group Pnn2 (No. 34)
Asymmetric unit:
Ag 0.000 0.000 0.000 [2 per cell]
Ag 0.000 0.000 0.327 [2 per cell]
Ag 0.000 0.000 0.665 [2 per cell]
Ag 0.000 0.500 0.016 [2 per cell]
Ag 0.013 0.246 0.183 [4 per cell]
Ag 0.020 0.238 0.829 [4 per cell]
W 0.000 0.500 0.363 [2 per cell]
W 0.000 0.500 0.652 [2 per cell]
W 0.036 0.249 0.505 [4 per cell]
O 0.128 0.811 0.390 [4 per cell]
O 0.135 0.811 0.618 [4 per cell]
O 0.150 0.587 0.506 [4 per cell]
O 0.186 0.579 0.745 [4 per cell]
O 0.192 0.575 0.270 [4 per cell]
O 0.199 0.367 0.618 [4 per cell]
O 0.200 0.366 0.395 [4 per cell]
O 0.211 0.654 0.009 [4 per cell]

Output
**Magnetic moment**: 0.00 μB per formula unit
**Total energy**: -325.36 eV/cell
**Energy of formation from the pure elements**: -130 kJ per mole of atoms
**Energy relative to the lowest polymorph listed for this composition**: 0.003 eV per atom